A plane-wave DFT calculation with PBE with a Hubbard U was carried out for crystalline Fe6O5F7 at its relaxed geometry.

Lattice parameters (Å, degrees): 4.778 5.696 7.825 85.46 88.27 87.89
Space group P1 (No. 1)
Asymmetric unit:
Fe 0.000 0.000 0.000 x1
Fe 0.007 0.375 0.674 x1
Fe 0.445 0.529 0.995 x1
Fe 0.469 0.849 0.667 x1
Fe 0.500 0.184 0.331 x1
Fe 0.951 0.711 0.333 x1
O 0.176 0.068 0.769 x1
O 0.177 0.718 0.111 x1
O 0.287 0.566 0.771 x1
O 0.785 0.649 0.565 x1
O 0.799 0.991 0.220 x1
F 0.178 0.388 0.431 x1
F 0.282 0.883 0.438 x1
F 0.285 0.225 0.091 x1
F 0.677 0.497 0.219 x1
F 0.677 0.817 0.899 x1
F 0.679 0.149 0.576 x1
F 0.778 0.324 0.905 x1

Output
For the MP2020-corrected energy, the calculation gives -7.05 eV/atom. As for the formation energy: -2104 meV/atom. The magnetic moment comes out at 1.61 μB/atom. The energy relative to the lowest polymorph listed for this composition comes out at 8.0 meV per atom. Its uncorrected energy is -5.92 eV per atom.

---

A plane-wave DFT calculation with PBE with a Hubbard U was carried out for crystalline Fe5O3F7 at its relaxed geometry.

Lattice parameters (Å, degrees): 4.784 4.785 15.728 89.94 89.84 89.55
Space group P1 (No. 1)
Asymmetric unit:
Fe 0.000 0.000 0.000 x1
Fe 0.003 0.999 0.803 x1
Fe 0.026 0.973 0.604 x1
Fe 0.045 0.012 0.196 x1
Fe 0.059 0.997 0.408 x1
Fe 0.490 0.506 0.495 x1
Fe 0.502 0.455 0.302 x1
Fe 0.539 0.462 0.903 x1
Fe 0.547 0.451 0.108 x1
Fe 0.551 0.450 0.700 x1
O 0.196 0.806 0.504 x1
O 0.323 0.283 0.395 x1
O 0.328 0.279 0.209 x1
O 0.841 0.160 0.902 x1
O 0.845 0.163 0.102 x1
O 0.846 0.152 0.700 x1
F 0.221 0.778 0.903 x1
F 0.222 0.787 0.302 x1
F 0.231 0.767 0.703 x1
F 0.234 0.777 0.101 x1
F 0.313 0.276 0.600 x1
F 0.325 0.266 0.001 x1
F 0.327 0.261 0.802 x1
F 0.722 0.686 0.599 x1
F 0.730 0.693 0.392 x1
F 0.737 0.673 0.804 x1
F 0.738 0.676 0.004 x1
F 0.740 0.685 0.212 x1
F 0.817 0.191 0.502 x1
F 0.832 0.175 0.302 x1

Output
For the MP2020-corrected energy, the calculation gives -6.93 eV/atom. As for the formation energy: -2224 meV/atom. The magnetic moment comes out at 1.53 μB/atom. The energy relative to the lowest polymorph listed for this composition comes out at 5.5 meV per atom. Its uncorrected energy is -5.83 eV per atom.

---

A plane-wave DFT calculation with PBE with a Hubbard U was carried out for crystalline Fe5O8F2 at its relaxed geometry.

Lattice parameters (Å, degrees): 4.640 5.537 12.955 77.98 89.84 89.69
Space group P-1 (No. 2)
Asymmetric unit:
Fe 0.000 0.000 0.000 x1
Fe 0.013 0.204 0.195 x2
Fe 0.017 0.410 0.400 x2
Fe 0.479 0.307 0.791 x2
Fe 0.484 0.887 0.405 x2
Fe 0.500 0.500 0.000 x1
O 0.188 0.052 0.864 x2
O 0.190 0.657 0.467 x2
O 0.192 0.453 0.262 x2
O 0.202 0.253 0.055 x2
O 0.300 0.355 0.654 x2
O 0.308 0.557 0.861 x2
O 0.309 0.952 0.266 x2
O 0.310 0.153 0.461 x2
F 0.196 0.859 0.660 x2
F 0.304 0.755 0.066 x2

Output
For the MP2020-corrected energy, the calculation gives -7.28 eV/atom. As for the formation energy: -1563 meV/atom. The magnetic moment comes out at 1.47 μB/atom. The energy relative to the lowest polymorph listed for this composition comes out at 19.7 meV per atom. Its uncorrected energy is -6.10 eV per atom.

---

A plane-wave DFT calculation with PBE with a Hubbard U was carried out for crystalline Fe3O2F4 at its relaxed geometry.

Lattice parameters (Å, degrees): 4.785 4.800 10.491 90.00 116.02 90.00
Space group P2_1/c (No. 14)
Asymmetric unit:
Fe 0.000 0.000 0.000 x2
Fe 0.285 0.014 0.323 x4
O 0.026 0.190 0.831 x4
F 0.318 0.682 0.002 x4
F 0.386 0.215 0.175 x4

Output
For the MP2020-corrected energy, the calculation gives -6.39 eV/atom. As for the formation energy: -1616 meV/atom. The magnetic moment comes out at 0.00 μB/atom. The energy relative to the lowest polymorph listed for this composition comes out at 581.2 meV per atom. Its uncorrected energy is -5.28 eV per atom.

---

A plane-wave DFT calculation with PBE with a Hubbard U was carried out for crystalline Fe3O5F at its relaxed geometry.

Lattice parameters (Å, degrees): 9.022 6.451 7.380 90.00 114.57 90.00
Space group C2/m (No. 12)
Asymmetric unit:
Fe 0.000 0.000 0.000 x2
Fe 0.000 0.000 0.500 x2
Fe 0.176 0.500 0.155 x4
Fe 0.181 0.500 0.672 x4
O 0.000 0.314 0.000 x4
O 0.091 0.000 0.285 x4
O 0.169 0.193 0.662 x8
O 0.219 0.000 0.035 x4
F 0.060 0.500 0.370 x4

Output
For the MP2020-corrected energy, the calculation gives -7.31 eV/atom. As for the formation energy: -1528 meV/atom. The magnetic moment comes out at 1.44 μB/atom. The energy relative to the lowest polymorph listed for this composition comes out at 2.6 meV per atom. Its uncorrected energy is -6.13 eV per atom.

---

A plane-wave DFT calculation with PBE with a Hubbard U was carried out for crystalline Fe4OF7 at its relaxed geometry.

Lattice parameters (Å, degrees): 5.790 4.785 10.884 90.00 97.84 90.00
Space group Pc (No. 7)
Asymmetric unit:
Fe 0.000 0.231 0.000 x2
Fe 0.239 0.245 0.766 x2
Fe 0.507 0.249 0.519 x2
Fe 0.763 0.241 0.268 x2
O 0.975 0.058 0.848 x2
F 0.031 0.443 0.174 x2
F 0.231 0.036 0.591 x2
F 0.272 0.454 0.949 x2
F 0.475 0.052 0.343 x2
F 0.531 0.449 0.694 x2
F 0.740 0.058 0.082 x2
F 0.780 0.457 0.445 x2

Output
For the MP2020-corrected energy, the calculation gives -6.77 eV/atom. As for the formation energy: -2418 meV/atom. The magnetic moment comes out at 1.42 μB/atom. The energy relative to the lowest polymorph listed for this composition comes out at 0.0 meV per atom. Its uncorrected energy is -5.69 eV per atom.

---

A plane-wave DFT calculation with PBE with a Hubbard U was carried out for crystalline Fe4OF7 at its relaxed geometry.

Lattice parameters (Å, degrees): 8.039 4.780 8.104 90.00 107.46 90.00
Space group P2_1 (No. 4)
Asymmetric unit:
Fe 0.052 0.000 0.189 x2
Fe 0.190 0.493 0.577 x2
Fe 0.304 0.963 0.933 x2
Fe 0.431 0.484 0.310 x2
O 0.153 0.675 0.791 x2
F 0.042 0.778 0.402 x2
F 0.083 0.193 0.973 x2
F 0.210 0.284 0.346 x2
F 0.272 0.798 0.174 x2
F 0.343 0.176 0.716 x2
F 0.415 0.682 0.542 x2
F 0.456 0.277 0.083 x2

Output
For the MP2020-corrected energy, the calculation gives -6.77 eV/atom. As for the formation energy: -2413 meV/atom. The magnetic moment comes out at 1.42 μB/atom. The energy relative to the lowest polymorph listed for this composition comes out at 5.7 meV per atom. Its uncorrected energy is -5.69 eV per atom.

---

A plane-wave DFT calculation with PBE with a Hubbard U was carried out for crystalline Fe4O7F at its relaxed geometry.

Lattice parameters (Å, degrees): 5.522 5.526 8.892 85.81 85.84 73.01
Space group P1 (No. 1)
Asymmetric unit:
Fe 0.000 0.000 0.000 x1
Fe 0.093 0.139 0.368 x1
Fe 0.232 0.282 0.761 x1
Fe 0.345 0.398 0.133 x1
Fe 0.492 0.534 0.503 x1
Fe 0.604 0.661 0.869 x1
Fe 0.723 0.772 0.249 x1
Fe 0.861 0.905 0.627 x1
O 0.016 0.053 0.783 x1
O 0.028 0.459 0.257 x1
O 0.173 0.836 0.501 x1
O 0.202 0.238 0.981 x1
O 0.298 0.700 0.002 x1
O 0.414 0.082 0.254 x1
O 0.455 0.498 0.722 x1
O 0.509 0.553 0.279 x1
O 0.544 0.978 0.744 x1
O 0.706 0.755 0.466 x1
O 0.758 0.797 0.030 x1
O 0.791 0.218 0.501 x1
O 0.927 0.587 0.748 x1
O 0.944 0.984 0.218 x1
F 0.259 0.304 0.529 x1
F 0.679 0.320 0.001 x1

Output
For the MP2020-corrected energy, the calculation gives -7.33 eV/atom. As for the formation energy: -1460 meV/atom. The magnetic moment comes out at 1.42 μB/atom. The energy relative to the lowest polymorph listed for this composition comes out at 5.1 meV per atom. Its uncorrected energy is -6.14 eV per atom.

---

A plane-wave DFT calculation with PBE with a Hubbard U was carried out for crystalline Fe10O19F at its relaxed geometry.

Lattice parameters (Å, degrees): 14.815 6.513 6.611 90.00 90.00 90.00
Space group Amm2 (No. 38)
Asymmetric unit:
Fe 0.000 0.000 0.000 x2
Fe 0.100 0.000 0.500 x4
Fe 0.198 0.000 0.999 x4
Fe 0.299 0.000 0.499 x4
Fe 0.395 0.000 0.994 x4
Fe 0.500 0.000 0.521 x2
O 0.000 0.190 0.500 x4
O 0.099 0.000 0.188 x4
O 0.099 0.000 0.811 x4
O 0.199 0.190 0.498 x8
O 0.294 0.000 0.806 x4
O 0.296 0.000 0.189 x4
O 0.400 0.192 0.503 x8
O 0.500 0.000 0.819 x2
F 0.500 0.000 0.202 x2

Output
For the MP2020-corrected energy, the calculation gives -7.37 eV/atom. As for the formation energy: -1350 meV/atom. The magnetic moment comes out at 1.37 μB/atom. The energy relative to the lowest polymorph listed for this composition comes out at 0.0 meV per atom. Its uncorrected energy is -6.17 eV per atom.

---

A plane-wave DFT calculation with PBE with a Hubbard U was carried out for crystalline Fe5O2F8 at its relaxed geometry.

Lattice parameters (Å, degrees): 4.829 7.990 10.130 71.55 88.92 89.23
Space group P1 (No. 1)
Asymmetric unit:
Fe 0.000 0.000 0.000 x1
Fe 0.002 0.383 0.803 x1
Fe 0.004 0.781 0.608 x1
Fe 0.464 0.488 0.516 x1
Fe 0.501 0.884 0.298 x1
Fe 0.506 0.680 0.918 x1
Fe 0.530 0.074 0.695 x1
Fe 0.549 0.297 0.088 x1
Fe 0.981 0.175 0.415 x1
Fe 0.985 0.574 0.197 x1
O 0.191 0.533 0.633 x1
O 0.678 0.510 0.093 x1
O 0.807 0.238 0.963 x1
O 0.817 0.024 0.569 x1
F 0.188 0.322 0.239 x1
F 0.193 0.755 0.029 x1
F 0.207 0.954 0.414 x1
F 0.212 0.157 0.807 x1
F 0.288 0.436 0.930 x1
F 0.301 0.255 0.513 x1
F 0.304 0.630 0.332 x1
F 0.305 0.839 0.733 x1
F 0.326 0.063 0.118 x1
F 0.686 0.707 0.483 x1
F 0.698 0.335 0.671 x1
F 0.701 0.924 0.884 x1
F 0.709 0.134 0.275 x1
F 0.792 0.411 0.396 x1
F 0.794 0.610 0.787 x1
F 0.812 0.826 0.188 x1

Output
For the MP2020-corrected energy, the calculation gives -6.83 eV/atom. As for the formation energy: -2324 meV/atom. The magnetic moment comes out at 1.47 μB/atom. The energy relative to the lowest polymorph listed for this composition comes out at 7.8 meV per atom. Its uncorrected energy is -5.74 eV per atom.

---

A plane-wave DFT calculation with PBE with a Hubbard U was carried out for crystalline Fe5O2F8 at its relaxed geometry.

Lattice parameters (Å, degrees): 4.765 5.711 13.741 100.11 90.36 90.54
Space group P-1 (No. 2)
Asymmetric unit:
Fe 0.000 0.000 0.000 x1
Fe 0.019 0.401 0.206 x2
Fe 0.019 0.794 0.402 x2
Fe 0.465 0.104 0.814 x2
Fe 0.477 0.313 0.393 x2
Fe 0.500 0.500 0.000 x1
O 0.208 0.481 0.342 x2
O 0.288 0.202 0.953 x2
F 0.189 0.062 0.139 x2
F 0.199 0.276 0.738 x2
F 0.206 0.693 0.936 x2
F 0.212 0.875 0.545 x2
F 0.305 0.569 0.132 x2
F 0.305 0.773 0.736 x2
F 0.310 0.379 0.536 x2
F 0.313 0.991 0.341 x2

Output
For the MP2020-corrected energy, the calculation gives -6.81 eV/atom. As for the formation energy: -2309 meV/atom. The magnetic moment comes out at 1.47 μB/atom. The energy relative to the lowest polymorph listed for this composition comes out at 23.1 meV per atom. Its uncorrected energy is -5.72 eV per atom.

---

A plane-wave DFT calculation with PBE with a Hubbard U was carried out for crystalline Fe3O5F at its relaxed geometry.

Lattice parameters (Å, degrees): 9.018 4.649 4.642 90.00 90.00 90.00
Space group Pmn2_1 (No. 31)
Asymmetric unit:
Fe 0.000 0.228 0.000 x2
Fe 0.173 0.752 0.528 x4
O 0.000 0.924 0.704 x2
O 0.160 0.049 0.211 x4
O 0.163 0.436 0.826 x4
F 0.000 0.544 0.319 x2

Output
For the MP2020-corrected energy, the calculation gives -7.30 eV/atom. As for the formation energy: -1518 meV/atom. The magnetic moment comes out at 1.45 μB/atom. The energy relative to the lowest polymorph listed for this composition comes out at 12.4 meV per atom. Its uncorrected energy is -6.12 eV per atom.

---

A plane-wave DFT calculation with PBE with a Hubbard U was carried out for crystalline Fe5O2F8 at its relaxed geometry.

Lattice parameters (Å, degrees): 7.988 4.819 10.084 90.00 108.05 90.00
Space group P2_1 (No. 4)
Asymmetric unit:
Fe 0.041 0.000 0.162 x2
Fe 0.157 0.438 0.447 x2
Fe 0.248 0.941 0.756 x2
Fe 0.337 0.479 0.040 x2
Fe 0.434 0.970 0.348 x2
O 0.181 0.671 0.859 x2
O 0.201 0.153 0.318 x2
F 0.027 0.168 0.730 x2
F 0.094 0.257 0.015 x2
F 0.106 0.771 0.570 x2
F 0.268 0.762 0.161 x2
F 0.319 0.252 0.641 x2
F 0.392 0.650 0.475 x2
F 0.402 0.162 0.924 x2
F 0.484 0.778 0.777 x2

Output
For the MP2020-corrected energy, the calculation gives -6.83 eV/atom. As for the formation energy: -2329 meV/atom. The magnetic moment comes out at 1.47 μB/atom. The energy relative to the lowest polymorph listed for this composition comes out at 2.9 meV per atom. Its uncorrected energy is -5.74 eV per atom.